DFT (GGA-PBE) results for an optimized crystal structure of La2Ga5Au3.

Cell: 4.4796 4.4796 10.9650 Å, 90.00 90.00 90.00°
Atoms (fractional coordinates):
Ga: 0.5000 0.5000 0.0000
Ga: 0.0000 0.0000 0.0000
Ga: 0.5000 0.0000 0.8723
Ga: 0.0000 0.0000 0.5000
Ga: 0.0000 0.5000 0.1277
La: 0.0000 0.5000 0.7430
La: 0.5000 0.0000 0.2570
Au: 0.0000 0.5000 0.3559
Au: 0.5000 0.0000 0.6441
Au: 0.5000 0.5000 0.5000

energy of formation from the pure elements: -0.5747 eV per atom
energy: -40.58 eV/f.u.
mass density: 9.19 g/cm³
crystal system: tetragonal
spin magnetization: 0.0 μB per formula unit
volume: 22.0 Å³ per atom